Mg6TiZnO8 | PBE | optimized geometry

a = 4.290 Å, b = 4.290 Å, c = 8.673 Å
α = 90.00°, β = 90.00°, γ = 90.00°
Fractional positions:
Mg: 0.000 0.000 0.000
Mg: 0.000 0.500 0.247
Mg: 0.000 0.500 0.753
Mg: 0.500 0.000 0.247
Mg: 0.500 0.000 0.753
Mg: 0.500 0.500 0.000
Ti: 0.000 0.000 0.500
Zn: 0.500 0.500 0.500
O: 0.000 0.000 0.245
O: 0.000 0.000 0.755
O: 0.000 0.500 0.000
O: 0.000 0.500 0.500
O: 0.500 0.000 0.000
O: 0.500 0.000 0.500
O: 0.500 0.500 0.244
O: 0.500 0.500 0.756

ΔH_f (0 K) = -2764 meV/atom
space-group type = P4/mmm, No. 123
volume = 9.977 Å³ per atom

LiGdO2 | PBE | optimized geometry

a = 11.416 Å, b = 3.449 Å, c = 5.366 Å
α = 90.00°, β = 90.00°, γ = 90.00°
Fractional positions:
Li: 0.066 0.250 0.098
Li: 0.434 0.750 0.598
Li: 0.566 0.250 0.402
Li: 0.934 0.750 0.902
Gd: 0.140 0.750 0.548
Gd: 0.360 0.250 0.048
Gd: 0.640 0.750 0.952
Gd: 0.860 0.250 0.452
O: 0.026 0.250 0.744
O: 0.204 0.250 0.307
O: 0.296 0.750 0.807
O: 0.474 0.750 0.244
O: 0.526 0.250 0.756
O: 0.704 0.250 0.193
O: 0.796 0.750 0.693
O: 0.974 0.750 0.256

ΔH_f (0 K) = -3214 meV/atom
space-group type = Pnma, No. 62
volume = 13.203 Å³ per atom

Question: What is the volume in the first record?
Answer: 9.977 Å³ per atom